No. 1
A relaxed Sc4FeBr5 crystal, computed with PBE-GGA.

Lattice parameters (Å, degrees): 11.169 11.169 16.229 90.00 90.00 90.00
Space group P4_2/nnm (No. 134, origin choice 2)
Inequivalent atoms, fractional coordinates:
Sc1 0.067 0.136 0.175 (multiplicity 16)
Sc2 0.123 0.623 0.840 (multiplicity 8)
Sc3 0.138 0.638 0.530 (multiplicity 8)
Fe1 0.151 0.651 0.682 (multiplicity 8)
Br1 0.106 0.606 0.336 (multiplicity 8)
Br2 0.117 0.117 0.000 (multiplicity 8)
Br3 0.125 0.625 0.015 (multiplicity 8)
Br4 0.128 0.141 0.663 (multiplicity 16)

M_tot	0.1	Bohr magnetons per cell
DFT total energy	-5.481	eV/atom
MP2020-corrected energy	-5.748	eV/atom
formation enthalpy at 0 K	-1549	meV/atom
V	2025	Å³ per cell

---

No. 2
A relaxed FeSeBr7 crystal, computed with PBE-GGA.

Lattice parameters (Å, degrees): 6.862 6.754 14.735 90.00 101.62 90.00
Space group Pc (No. 7)
Inequivalent atoms, fractional coordinates:
Fe1 0.000 0.001 0.000 (multiplicity 2)
Se1 0.707 0.415 0.837 (multiplicity 2)
Br1 0.026 0.345 0.507 (multiplicity 2)
Br2 0.070 0.123 0.859 (multiplicity 2)
Br3 0.219 0.143 0.128 (multiplicity 2)
Br4 0.448 0.391 0.377 (multiplicity 2)
Br5 0.512 0.191 0.730 (multiplicity 2)
Br6 0.673 0.112 0.999 (multiplicity 2)
Br7 0.832 0.375 0.233 (multiplicity 2)

DFT total energy	-2.919	eV/atom
MP2020-corrected energy	-3.334	eV/atom
largest piezoelectric modulus	0.25	C/m2
formation enthalpy at 0 K	-731	meV/atom
V	669	Å³ per cell

---

No. 3
A relaxed GaH3Br3N crystal, computed with PBE-GGA.

Lattice parameters (Å, degrees): 12.314 12.921 20.853 90.00 90.00 90.00
Space group Pbca (No. 61)
Inequivalent atoms, fractional coordinates:
Ga1 0.203 0.038 0.218 (multiplicity 8)
Ga2 0.225 0.246 0.972 (multiplicity 8)
H1 0.139 0.664 0.550 (multiplicity 8)
H2 0.151 0.713 0.072 (multiplicity 8)
H3 0.158 0.509 0.311 (multiplicity 8)
H4 0.226 0.049 0.342 (multiplicity 8)
H5 0.240 0.573 0.820 (multiplicity 8)
H6 0.245 0.702 0.592 (multiplicity 8)
Br1 0.064 0.582 0.697 (multiplicity 8)
Br2 0.104 0.117 0.455 (multiplicity 8)
Br3 0.131 0.091 0.987 (multiplicity 8)
Br4 0.140 0.739 0.894 (multiplicity 8)
Br5 0.144 0.209 0.221 (multiplicity 8)
Br6 0.150 0.514 0.148 (multiplicity 8)
N1 0.194 0.723 0.556 (multiplicity 8)
N2 0.241 0.502 0.308 (multiplicity 8)

M_tot	0.1	Bohr magnetons per cell
DFT total energy	-4.008	eV/atom
MP2020-corrected energy	-4.053	eV/atom
formation enthalpy at 0 K	-747	meV/atom
V	3318	Å³ per cell

---

No. 4
A relaxed Rb2GaHgBr6 crystal, computed with PBE-GGA.

Lattice parameters (Å, degrees): 11.092 11.092 11.092 90.00 90.00 90.00
Space group Fm-3m (No. 225)
Inequivalent atoms, fractional coordinates:
Rb1 0.250 0.250 0.250 (multiplicity 8)
Ga1 0.000 0.000 0.000 (multiplicity 4)
Hg1 0.000 0.000 0.500 (multiplicity 4)
Br1 0.000 0.000 0.237 (multiplicity 24)

M_tot	0.0	Bohr magnetons per cell
DFT total energy	-2.574	eV/atom
MP2020-corrected energy	-2.895	eV/atom
formation enthalpy at 0 K	-1383	meV/atom
V	1365	Å³ per cell

---

No. 5
A relaxed KGaBr4 crystal, computed with PBE-GGA.

Lattice parameters (Å, degrees): 23.0009 23.0009 9.0911 90.00 90.00 120.00
Space group R3c (No. 161, hexagonal axes)
Inequivalent atoms, fractional coordinates:
K1 0.1354 0.4603 0.0000 (multiplicity 18)
Ga1 0.1396 0.4639 0.4898 (multiplicity 18)
Br1 0.0147 0.2772 0.0040 (multiplicity 18)
Br2 0.0833 0.2277 0.6621 (multiplicity 18)
Br3 0.1252 0.0328 0.9389 (multiplicity 18)
Br4 0.1556 0.3859 0.3501 (multiplicity 18)

DFT total energy	-2.999	eV/atom
MP2020-corrected energy	-3.355	eV/atom
formation enthalpy at 0 K	-1573	meV/atom
V	4165	Å³ per cell

---

No. 6
A relaxed K2NaGaBr6 crystal, computed with PBE-GGA.

Lattice parameters (Å, degrees): 10.934 10.934 10.934 90.00 90.00 90.00
Space group Fm-3m (No. 225)
Inequivalent atoms, fractional coordinates:
K1 0.250 0.250 0.250 (multiplicity 8)
Na1 0.000 0.000 0.000 (multiplicity 4)
Ga1 0.000 0.000 0.500 (multiplicity 4)
Br1 0.000 0.000 0.265 (multiplicity 24)

DFT total energy	-2.923	eV/atom
MP2020-corrected energy	-3.244	eV/atom
formation enthalpy at 0 K	-1604	meV/atom
V	1307	Å³ per cell

---

No. 7
A relaxed KRb2GaBr6 crystal, computed with PBE-GGA.

Lattice parameters (Å, degrees): 11.429 11.429 11.429 90.00 90.00 90.00
Space group Fm-3m (No. 225)
Inequivalent atoms, fractional coordinates:
K1 0.000 0.000 0.000 (multiplicity 4)
Rb1 0.250 0.250 0.250 (multiplicity 8)
Ga1 0.000 0.000 0.500 (multiplicity 4)
Br1 0.000 0.000 0.275 (multiplicity 24)

M_tot	0.0	Bohr magnetons per cell
DFT total energy	-2.932	eV/atom
MP2020-corrected energy	-3.252	eV/atom
formation enthalpy at 0 K	-1660	meV/atom
V	1493	Å³ per cell

---

No. 8
A relaxed K2TlGaBr6 crystal, computed with PBE-GGA.

Lattice parameters (Å, degrees): 11.390 11.390 11.390 90.00 90.00 90.00
Space group Fm-3m (No. 225)
Inequivalent atoms, fractional coordinates:
K1 0.250 0.250 0.250 (multiplicity 8)
Tl1 0.000 0.000 0.000 (multiplicity 4)
Ga1 0.000 0.000 0.500 (multiplicity 4)
Br1 0.000 0.000 0.274 (multiplicity 24)

M_tot	0.0	Bohr magnetons per cell
DFT total energy	-2.874	eV/atom
MP2020-corrected energy	-3.195	eV/atom
formation enthalpy at 0 K	-1451	meV/atom
V	1478	Å³ per cell

---

No. 9
A relaxed La10Ga5Br4 crystal, computed with PBE-GGA.

Lattice parameters (Å, degrees): 8.208 8.208 32.574 90.00 90.00 90.00
Space group I4/mcm (No. 140)
Inequivalent atoms, fractional coordinates:
La1 0.000 0.000 0.154 (multiplicity 8)
La2 0.167 0.333 0.204 (multiplicity 16)
La3 0.171 0.329 0.073 (multiplicity 16)
Ga1 0.000 0.000 0.250 (multiplicity 4)
Ga2 0.122 0.378 0.365 (multiplicity 16)
Br1 0.000 0.000 0.056 (multiplicity 8)
Br2 0.143 0.357 0.500 (multiplicity 8)

M_tot	3.8	Bohr magnetons per cell
DFT total energy	-4.684	eV/atom
MP2020-corrected energy	-4.797	eV/atom
formation enthalpy at 0 K	-1057	meV/atom
V	2194	Å³ per cell

---

No. 10
A relaxed LiGaBr3 crystal, computed with PBE-GGA.

Lattice parameters (Å, degrees): 6.697 10.621 8.156 90.00 93.66 90.00
Space group P2_1/m (No. 11)
Inequivalent atoms, fractional coordinates:
Li1 0.000 0.000 0.000 (multiplicity 2)
Li2 0.500 0.000 0.500 (multiplicity 2)
Ga1 0.030 0.250 0.538 (multiplicity 2)
Ga2 0.135 0.250 0.257 (multiplicity 2)
Br1 0.130 0.750 0.959 (multiplicity 2)
Br2 0.176 0.070 0.688 (multiplicity 4)
Br3 0.327 0.750 0.431 (multiplicity 2)
Br4 0.334 0.069 0.186 (multiplicity 4)

DFT total energy	-3.069	eV/atom
MP2020-corrected energy	-3.389	eV/atom
formation enthalpy at 0 K	-1419	meV/atom
V	579	Å³ per cell